# 1
VASP calculation (PBE) on a relaxed Pd7Se4 crystal.

Calculated values
final energy	-106.27	eV for the cell shown
theoretical density	8941	kg/m³

Unit cell a=7.024 b=10.321 c=5.435 alpha=90.00 beta=90.00 gamma=90.00
Space group P2_12_12 (No. 18)
One atom of each set of equivalent atoms:
Pd  0.000  0.000  0.176 [2 per cell]
Pd  0.084  0.226  0.496 [4 per cell]
Pd  0.128  0.631  0.838 [4 per cell]
Pd  0.189  0.416  0.151 [4 per cell]
Se  0.000  0.000  0.670 [2 per cell]
Se  0.000  0.500  0.501 [2 per cell]
Se  0.176  0.779  0.183 [4 per cell]

---

# 2
VASP calculation (PBE) on a relaxed Rb2MgH12Se2O14 crystal.

Calculated values
final energy	-316.64	eV for the cell shown
total magnetic moment	0.00	μB per cell
theoretical density	2606	kg/m³

Unit cell a=6.397 b=12.846 c=9.462 alpha=90.00 beta=105.08 gamma=90.00
Space group P2_1/c (No. 14)
One atom of each set of equivalent atoms:
Rb  0.158  0.154  0.368 [4 per cell]
Mg  0.500  0.000  0.000 [2 per cell]
H  0.154  0.556  0.590 [4 per cell]
H  0.167  0.639  0.469 [4 per cell]
H  0.184  0.090  0.794 [4 per cell]
H  0.411  0.129  0.768 [4 per cell]
H  0.433  0.596  0.236 [4 per cell]
H  0.496  0.181  0.140 [4 per cell]
Se  0.232  0.640  0.904 [4 per cell]
O  0.070  0.742  0.912 [4 per cell]
O  0.099  0.562  0.767 [4 per cell]
O  0.206  0.566  0.501 [4 per cell]
O  0.281  0.573  0.060 [4 per cell]
O  0.336  0.109  0.844 [4 per cell]
O  0.465  0.683  0.872 [4 per cell]
O  0.473  0.107  0.163 [4 per cell]

---

# 3
VASP calculation (PBE) on a relaxed Al2O3 crystal.

Calculated values
final energy	-725.02	eV for the cell shown
total magnetic moment	0.00	μB per cell
theoretical density	3010	kg/m³

Unit cell a=9.823 b=10.230 c=11.226 alpha=91.04 beta=91.14 gamma=93.74
Space group P1 (No. 1)
One atom of each set of equivalent atoms:
Al  0.000  0.000  0.000 [1 per cell]
Al  0.000  0.917  0.429 [1 per cell]
Al  0.018  0.227  0.347 [1 per cell]
Al  0.098  0.663  0.085 [1 per cell]
Al  0.141  0.893  0.234 [1 per cell]
Al  0.161  0.194  0.873 [1 per cell]
Al  0.167  0.979  0.681 [1 per cell]
Al  0.171  0.378  0.570 [1 per cell]
Al  0.195  0.477  0.309 [1 per cell]
Al  0.236  0.801  0.923 [1 per cell]
Al  0.241  0.257  0.120 [1 per cell]
Al  0.267  0.116  0.452 [1 per cell]
Al  0.282  0.486  0.939 [1 per cell]
Al  0.360  0.828  0.425 [1 per cell]
Al  0.361  0.784  0.671 [1 per cell]
Al  0.390  0.218  0.709 [1 per cell]
Al  0.392  0.822  0.141 [1 per cell]
Al  0.455  0.199  0.946 [1 per cell]
Al  0.455  0.480  0.742 [1 per cell]
Al  0.485  0.498  0.154 [1 per cell]
Al  0.486  0.074  0.297 [1 per cell]
Al  0.486  0.353  0.353 [1 per cell]
Al  0.531  0.019  0.577 [1 per cell]
Al  0.536  0.682  0.978 [1 per cell]
Al  0.593  0.624  0.573 [1 per cell]
Al  0.664  0.853  0.763 [1 per cell]
Al  0.682  0.804  0.418 [1 per cell]
Al  0.691  0.332  0.602 [1 per cell]
Al  0.734  0.265  0.209 [1 per cell]
Al  0.764  0.127  0.450 [1 per cell]
Al  0.767  0.472  0.391 [1 per cell]
Al  0.781  0.201  0.973 [1 per cell]
Al  0.802  0.514  0.074 [1 per cell]
Al  0.821  0.995  0.218 [1 per cell]
Al  0.871  0.715  0.245 [1 per cell]
Al  0.879  0.720  0.916 [1 per cell]
Al  0.881  0.119  0.752 [1 per cell]
Al  0.881  0.821  0.627 [1 per cell]
Al  0.981  0.422  0.825 [1 per cell]
Al  0.995  0.557  0.581 [1 per cell]
O  0.018  0.845  0.918 [1 per cell]
O  0.022  0.791  0.312 [1 per cell]
O  0.027  0.944  0.583 [1 per cell]
O  0.062  0.441  0.682 [1 per cell]
O  0.068  0.106  0.759 [1 per cell]
O  0.119  0.565  0.202 [1 per cell]
O  0.125  0.144  0.021 [1 per cell]
O  0.130  0.236  0.477 [1 per cell]
O  0.132  0.502  0.464 [1 per cell]
O  0.140  0.302  0.246 [1 per cell]
O  0.143  0.368  0.890 [1 per cell]
O  0.152  0.013  0.357 [1 per cell]
O  0.179  0.628  0.949 [1 per cell]
O  0.195  0.829  0.088 [1 per cell]
O  0.242  0.854  0.773 [1 per cell]
O  0.258  0.819  0.549 [1 per cell]
O  0.290  0.093  0.612 [1 per cell]
O  0.292  0.810  0.282 [1 per cell]
O  0.320  0.128  0.841 [1 per cell]
O  0.327  0.419  0.076 [1 per cell]
O  0.333  0.366  0.637 [1 per cell]
O  0.378  0.477  0.311 [1 per cell]
O  0.380  0.207  0.349 [1 per cell]
O  0.390  0.179  0.090 [1 per cell]
O  0.415  0.819  0.972 [1 per cell]
O  0.419  0.003  0.439 [1 per cell]
O  0.425  0.579  0.876 [1 per cell]
O  0.430  0.629  0.654 [1 per cell]
O  0.434  0.339  0.839 [1 per cell]
O  0.459  0.666  0.133 [1 per cell]
O  0.494  0.954  0.193 [1 per cell]
O  0.507  0.905  0.699 [1 per cell]
O  0.512  0.767  0.471 [1 per cell]
O  0.548  0.186  0.635 [1 per cell]
O  0.588  0.372  0.221 [1 per cell]
O  0.613  0.470  0.667 [1 per cell]
O  0.618  0.166  0.918 [1 per cell]
O  0.626  0.358  0.453 [1 per cell]
O  0.630  0.547  0.042 [1 per cell]
O  0.653  0.145  0.321 [1 per cell]
O  0.673  0.614  0.428 [1 per cell]
O  0.674  0.978  0.491 [1 per cell]
O  0.697  0.766  0.902 [1 per cell]
O  0.708  0.735  0.656 [1 per cell]
O  0.747  0.837  0.261 [1 per cell]
O  0.772  0.119  0.127 [1 per cell]
O  0.808  0.953  0.720 [1 per cell]
O  0.811  0.199  0.594 [1 per cell]
O  0.811  0.344  0.075 [1 per cell]
O  0.818  0.547  0.248 [1 per cell]
O  0.850  0.464  0.533 [1 per cell]
O  0.855  0.809  0.469 [1 per cell]
O  0.861  0.308  0.334 [1 per cell]
O  0.865  0.283  0.823 [1 per cell]
O  0.874  0.070  0.918 [1 per cell]
O  0.895  0.545  0.907 [1 per cell]
O  0.906  0.064  0.364 [1 per cell]
O  0.910  0.686  0.084 [1 per cell]
O  0.980  0.693  0.672 [1 per cell]
O  0.983  0.962  0.153 [1 per cell]

---

# 4
VASP calculation (PBE) on a relaxed NaSnO crystal.

Calculated values
final energy	-27.31	eV for the cell shown
total magnetic moment	0.00	μB per cell
theoretical density	4258	kg/m³

Unit cell a=4.343 b=4.343 c=6.521 alpha=90.00 beta=90.00 gamma=90.00
Space group P4/nmm (No. 129, origin choice 2)
One atom of each set of equivalent atoms:
Na  0.250  0.750  0.000 [2 per cell]
Sn  0.250  0.250  0.445 [2 per cell]
O  0.250  0.250  0.138 [2 per cell]

---

# 5
VASP calculation (PBE) on a relaxed Sn3BF9 crystal.

Calculated values
final energy	-272.02	eV for the cell shown
theoretical density	3999	kg/m³

Unit cell a=10.550 b=7.790 c=10.959 alpha=90.00 beta=97.23 gamma=90.00
Space group P2_1/c (No. 14)
One atom of each set of equivalent atoms:
Sn  0.058  0.165  0.185 [4 per cell]
Sn  0.202  0.638  0.056 [4 per cell]
Sn  0.316  0.101  0.940 [4 per cell]
B  0.408  0.575  0.803 [4 per cell]
F  0.041  0.614  0.907 [4 per cell]
F  0.071  0.739  0.173 [4 per cell]
F  0.176  0.599  0.473 [4 per cell]
F  0.177  0.127  0.778 [4 per cell]
F  0.195  0.247  0.534 [4 per cell]
F  0.339  0.067  0.346 [4 per cell]
F  0.369  0.595  0.674 [4 per cell]
F  0.373  0.725  0.866 [4 per cell]
F  0.460  0.047  0.675 [4 per cell]

---

# 6
VASP calculation (PBE) on a relaxed CrRh3 crystal.

Calculated values
final energy	-32.18	eV for the cell shown
theoretical density	10845	kg/m³

Unit cell a=3.808 b=3.808 c=3.808 alpha=90.00 beta=90.00 gamma=90.00
Space group Pm-3m (No. 221)
One atom of each set of equivalent atoms:
Cr  0.000  0.000  0.000 [1 per cell]
Rh  0.000  0.500  0.500 [3 per cell]

---

# 7
VASP calculation (PBE) on a relaxed NbSiPt crystal.

Calculated values
final energy	-95.97	eV for the cell shown
theoretical density	11289	kg/m³

Unit cell a=6.486 b=3.858 c=7.432 alpha=90.00 beta=90.00 gamma=90.00
Space group Pnma (No. 62)
One atom of each set of equivalent atoms:
Nb  0.027  0.250  0.165 [4 per cell]
Si  0.231  0.750  0.374 [4 per cell]
Pt  0.152  0.250  0.565 [4 per cell]

---

# 8
VASP calculation (PBE) on a relaxed MoS3N2Cl8 crystal.

Calculated values
final energy	-235.59	eV for the cell shown
total magnetic moment	0.05	μB per cell
theoretical density	2190	kg/m³

Unit cell a=7.676 b=16.693 c=12.990 alpha=90.00 beta=113.36 gamma=90.00
Space group P2_1/c (No. 14)
One atom of each set of equivalent atoms:
Mo  0.062  0.177  0.210 [4 per cell]
S  0.137  0.156  0.974 [4 per cell]
S  0.349  0.535  0.201 [4 per cell]
S  0.468  0.626  0.728 [4 per cell]
N  0.117  0.166  0.088 [4 per cell]
N  0.454  0.040  0.764 [4 per cell]
Cl  0.020  0.184  0.692 [4 per cell]
Cl  0.042  0.687  0.131 [4 per cell]
Cl  0.123  0.042  0.263 [4 per cell]
Cl  0.250  0.040  0.983 [4 per cell]
Cl  0.261  0.650  0.401 [4 per cell]
Cl  0.263  0.519  0.034 [4 per cell]
Cl  0.386  0.202  0.340 [4 per cell]
Cl  0.488  0.169  0.618 [4 per cell]

---

# 9
VASP calculation (PBE) on a relaxed HfC crystal.

Calculated values
final energy	-41.34	eV for the cell shown
total magnetic moment	0.00	μB per cell
theoretical density	12565	kg/m³

Unit cell a=3.3429 b=3.3429 c=5.2027 alpha=90.00 beta=90.00 gamma=120.00
Space group P6_3/mmc (No. 194)
One atom of each set of equivalent atoms:
Hf  0.3333  0.6667  0.2500 [2 per cell]
C  0.0000  0.0000  0.0000 [2 per cell]

---

# 10
VASP calculation (PBE) on a relaxed KVCl3 crystal.

Calculated values
final energy	-46.23	eV for the cell shown
theoretical density	2471	kg/m³

Unit cell a=6.9969 b=6.9969 c=6.2252 alpha=90.00 beta=90.00 gamma=120.00
Space group P6_3/mmc (No. 194)
One atom of each set of equivalent atoms:
K  0.3333  0.6667  0.2500 [2 per cell]
V  0.0000  0.0000  0.0000 [2 per cell]
Cl  0.1599  0.3198  0.7500 [6 per cell]

---

# 11
VASP calculation (PBE) on a relaxed TiPb3 crystal.

Calculated values
final energy	-35.72	eV for the cell shown
total magnetic moment	0.01	μB per cell
theoretical density	10289	kg/m³

Unit cell a=5.843 b=6.529 c=6.538 alpha=60.05 beta=89.85 gamma=89.95
Space group P-1 (No. 2)
One atom of each set of equivalent atoms:
Ti  0.246  0.333  0.333 [2 per cell]
Pb  0.250  0.828  0.829 [2 per cell]
Pb  0.251  0.342  0.830 [2 per cell]
Pb  0.251  0.829  0.343 [2 per cell]

---

Calculated energy of formation from the pure elements (eV per atom), listed in the same order as above: -0.43; -1.53; -3.20; -1.35; -2.79; -0.11; -0.80; -0.65; -0.74; -1.84; 0.29